# 1
# UPd3

UPd3 after structural relaxation (meta-GGA r2SCAN, the Materials Project database).

Lattice parameters (Å, degrees): 5.8432 5.8432 9.5791 90.00 90.00 120.00
Closest atoms and distances in Å follow each position.
Fractional coordinates of all 16 atoms:
Pd  0.5000  0.5000  0.0000  8 Pd 2.91-2.92, 4 U 2.92-2.93
U  0.0000  0.0000  0.5000  12 Pd 2.92-2.97
U  0.6667  0.3333  0.7500  12 Pd 2.92-2.93
Pd  0.0000  0.5000  0.0000  8 Pd 2.91-2.92, 4 U 2.92-2.93
Pd  0.5000  0.0000  0.5000  8 Pd 2.91-2.92, 4 U 2.92-2.93
Pd  0.1738  0.8262  0.7500  8 Pd 2.80-3.05, 4 U 2.92-2.97
Pd  0.5000  0.5000  0.5000  8 Pd 2.91-2.92, 4 U 2.92-2.93
Pd  0.0000  0.5000  0.5000  8 Pd 2.91-2.92, 4 U 2.92-2.93
Pd  0.8262  0.6525  0.2500  8 Pd 2.80-3.05, 4 U 2.92-2.97
Pd  0.1738  0.3475  0.7500  8 Pd 2.80-3.05, 4 U 2.92-2.97
U  0.3333  0.6667  0.2500  12 Pd 2.92-2.93
Pd  0.6525  0.8262  0.7500  8 Pd 2.80-3.05, 4 U 2.92-2.97
Pd  0.8262  0.1738  0.2500  8 Pd 2.80-3.05, 4 U 2.92-2.97
U  0.0000  0.0000  0.0000  12 Pd 2.92-2.97
Pd  0.3475  0.1738  0.2500  8 Pd 2.80-3.05, 4 U 2.92-2.97
Pd  0.5000  0.0000  0.0000  8 Pd 2.91-2.92, 4 U 2.92-2.93

Computed properties:
* energy of formation: -0.6750 eV/atom
* uncorrected energy: -1.392 Ha/atom

=====

# 2
# VPd2

VPd2 after structural relaxation (meta-GGA r2SCAN, the Materials Project database).

Lattice parameters (Å, degrees): 2.7183 3.7837 4.7449 113.50 106.65 90.00
Closest atoms and distances in Å follow each position.
Fractional coordinates of all 3 atoms:
Pd  0.6623  0.6623  0.3245  7 Pd 2.68-2.74, 5 V 2.69-2.79
V  0.0000  0.0000  0.0000  10 Pd 2.69-2.79, 2 V 2.72
Pd  0.3377  0.3377  0.6755  7 Pd 2.68-2.74, 5 V 2.69-2.79

Computed properties:
* energy of formation: -0.2696 eV/atom
* uncorrected energy: -0.745 Ha/atom

=====

# 3
# VPd3

VPd3 after structural relaxation (meta-GGA r2SCAN, the Materials Project database).

Lattice parameters (Å, degrees): 5.4847 5.4851 4.4635 90.00 90.00 120.12
Closest atoms and distances in Å follow each position.
Fractional coordinates of all 8 atoms:
Pd  0.6619  0.8309  0.2500  8 Pd 2.70-2.78, 4 V 2.72-2.74
Pd  0.8310  0.6620  0.7500  8 Pd 2.70-2.78, 4 V 2.72-2.74
V  0.3331  0.6666  0.7500  12 Pd 2.72-2.74
Pd  0.1690  0.3380  0.2500  8 Pd 2.70-2.78, 4 V 2.72-2.74
Pd  0.3381  0.1690  0.7500  8 Pd 2.70-2.78, 4 V 2.72-2.74
Pd  0.1692  0.8308  0.2500  8 Pd 2.70-2.78, 4 V 2.72-2.74
Pd  0.8308  0.1691  0.7500  8 Pd 2.70-2.78, 4 V 2.72-2.74
V  0.6669  0.3336  0.2500  12 Pd 2.72-2.74

Computed properties:
* energy of formation: -0.2653 eV/atom
* uncorrected energy: -0.772 Ha/atom

=====

# 4
# VPd3

VPd3 after structural relaxation (meta-GGA r2SCAN, the Materials Project database).

Lattice parameters (Å, degrees): 3.8589 3.8589 4.7612 113.91 113.91 90.00
Closest atoms and distances in Å follow each position.
Fractional coordinates of all 4 atoms:
Pd  0.2500  0.7500  0.5000  8 Pd 2.73-2.74, 4 V 2.74
V  0.0000  0.0000  0.0000  12 Pd 2.73-2.74
Pd  0.7500  0.2500  0.5000  8 Pd 2.73-2.74, 4 V 2.74
Pd  0.5000  0.5000  0.0000  4 V 2.73, 8 Pd 2.74

Computed properties:
* energy of formation: -0.2575 eV/atom
* uncorrected energy: -0.772 Ha/atom

=====

# 5
# VPd3

VPd3 after structural relaxation (meta-GGA r2SCAN, the Materials Project database).

Lattice parameters (Å, degrees): 3.8799 3.8906 3.8908 90.00 90.00 90.00
Closest atoms and distances in Å follow each position.
Fractional coordinates of all 4 atoms:
Pd  0.0000  0.5000  0.5000  8 Pd 2.75, 4 V 2.75
Pd  0.5000  0.5000  0.0000  4 V 2.75, 8 Pd 2.75
Pd  0.5000  0.0000  0.5000  8 Pd 2.75, 4 V 2.75
V  0.0000  0.0000  0.0000  12 Pd 2.75

Computed properties:
* energy of formation: -0.2664 eV/atom
* uncorrected energy: -0.772 Ha/atom

=====

# 6
# Pd4W

Pd4W after structural relaxation (meta-GGA r2SCAN, the Materials Project database).

Lattice parameters (Å, degrees): 2.7743 2.7743 11.4324 90.00 96.97 120.00
Closest atoms and distances in Å follow each position.
Fractional coordinates of all 5 atoms:
W  0.0000  0.0000  0.0000  6 Pd 2.73, 6 W 2.77
Pd  0.7971  0.3985  0.1956  3 W 2.73, 9 Pd 2.77-2.80
Pd  0.4009  0.2005  0.6014  12 Pd 2.77-2.80
Pd  0.5991  0.7995  0.3986  12 Pd 2.77-2.80
Pd  0.2029  0.6015  0.8044  3 W 2.73, 9 Pd 2.77-2.80

Computed properties:
* energy of formation: 0.0069 eV/atom
* uncorrected energy: -1.052 Ha/atom

=====

# 7
# Pd3W

Pd3W after structural relaxation (meta-GGA r2SCAN, the Materials Project database).

Lattice parameters (Å, degrees): 4.8372 4.8372 4.8372 133.05 133.05 68.57
Closest atoms and distances in Å follow each position.
Fractional coordinates of all 4 atoms:
W  0.0000  0.0000  0.0000  12 Pd 2.72-2.78
Pd  0.5000  0.5000  0.0000  4 W 2.72, 8 Pd 2.78
Pd  0.2500  0.7500  0.5000  8 Pd 2.72-2.78, 4 W 2.78
Pd  0.7500  0.2500  0.5000  8 Pd 2.72-2.78, 4 W 2.78

Computed properties:
* energy of formation: 0.0113 eV/atom
* uncorrected energy: -1.104 Ha/atom

=====

# 8
# Y3Pd2

Y3Pd2 after structural relaxation (meta-GGA r2SCAN, the Materials Project database).

Lattice parameters (Å, degrees): 7.4968 7.4968 7.4963 71.64 71.64 71.64
Closest atoms and distances in Å follow each position.
Fractional coordinates of all 15 atoms:
Pd  0.8427  0.0423  0.4101  7 Y 2.88-3.15, 1 Pd 2.88
Y  0.3929  0.1711  0.6584  4 Pd 2.89-3.15
Pd  0.5899  0.1573  0.9577  7 Y 2.88-3.15, 1 Pd 2.88
Y  0.1712  0.6583  0.3929  4 Pd 2.89-3.15
Pd  0.9577  0.5899  0.1572  7 Y 2.88-3.15, 1 Pd 2.88
Y  0.6071  0.8289  0.3416  4 Pd 2.89-3.15
Y  0.3417  0.6071  0.8289  4 Pd 2.89-3.15
Pd  0.0423  0.4101  0.8428  7 Y 2.88-3.15, 1 Pd 2.88
Pd  0.4101  0.8427  0.0423  7 Y 2.88-3.15, 1 Pd 2.88
Y  0.2052  0.2052  0.2052  6 Pd 2.88-3.08
Y  0.7948  0.7948  0.7948  6 Pd 2.88-3.08
Pd  0.1573  0.9577  0.5899  7 Y 2.88-3.15, 1 Pd 2.88
Y  0.6583  0.3929  0.1711  4 Pd 2.89-3.15
Y  0.8288  0.3417  0.6071  4 Pd 2.89-3.15
Y  0.0000  0.0000  0.0000  6 Pd 3.01

Computed properties:
* energy of formation: -0.7359 eV/atom
* uncorrected energy: -0.812 Ha/atom

=====

# 9
# YPd

YPd after structural relaxation (meta-GGA r2SCAN, the Materials Project database).

Lattice parameters (Å, degrees): 3.7351 4.5550 5.5757 90.00 109.57 90.00
Closest atoms and distances in Å follow each position.
Fractional coordinates of all 4 atoms:
Y  0.8630  0.7500  0.7261  7 Pd 2.92-3.00
Pd  0.4148  0.2500  0.8297  2 Pd 2.90, 7 Y 2.92-3.00
Pd  0.5852  0.7500  0.1703  2 Pd 2.90, 7 Y 2.92-3.00
Y  0.1370  0.2500  0.2739  7 Pd 2.92-3.00

Computed properties:
* energy of formation: -0.9248 eV/atom
* uncorrected energy: -0.829 Ha/atom

=====

# 10
# YPd3

YPd3 after structural relaxation (meta-GGA r2SCAN, the Materials Project database).

Lattice parameters (Å, degrees): 4.0999 4.0999 4.0999 90.00 90.00 90.00
Closest atoms and distances in Å follow each position.
Fractional coordinates of all 4 atoms:
Pd  0.5000  0.0000  0.5000  8 Pd 2.90, 4 Y 2.90
Y  0.0000  0.0000  0.0000  12 Pd 2.90
Pd  0.0000  0.5000  0.5000  8 Pd 2.90, 4 Y 2.90
Pd  0.5000  0.5000  0.0000  8 Pd 2.90, 4 Y 2.90

Computed properties:
* energy of formation: -0.8817 eV/atom
* uncorrected energy: -0.852 Ha/atom

=====

# 11
# YbPd3

YbPd3 after structural relaxation (meta-GGA r2SCAN, the Materials Project database).

Lattice parameters (Å, degrees): 4.0498 4.0498 4.0498 90.00 90.00 90.00
Closest atoms and distances in Å follow each position.
Fractional coordinates of all 4 atoms:
Pd  0.0000  0.5000  0.5000  4 Yb 2.86, 8 Pd 2.86
Pd  0.5000  0.5000  0.0000  4 Yb 2.86, 8 Pd 2.86
Pd  0.5000  0.0000  0.5000  4 Yb 2.86, 8 Pd 2.86
Yb  0.0000  0.0000  0.0000  12 Pd 2.86

Computed properties:
* energy of formation: -0.9655 eV/atom
* uncorrected energy: -1.004 Ha/atom

=====

# 12
# YbPd

YbPd after structural relaxation (meta-GGA r2SCAN, the Materials Project database).

Lattice parameters (Å, degrees): 3.4244 3.4244 3.4244 90.00 90.00 90.00
Closest atoms and distances in Å follow each position.
Fractional coordinates of all 2 atoms:
Yb  0.5000  0.5000  0.5000  8 Pd 2.97
Pd  0.0000  0.0000  0.0000  8 Yb 2.97

Computed properties:
* energy of formation: -1.0026 eV/atom
* uncorrected energy: -1.130 Ha/atom

=====

# 13
# YbPd2

YbPd2 after structural relaxation (meta-GGA r2SCAN, the Materials Project database).

Lattice parameters (Å, degrees): 3.9232 3.9232 4.8850 113.68 113.68 90.00
Closest atoms and distances in Å follow each position.
Fractional coordinates of all 3 atoms:
Pd  0.2500  0.7500  0.5000  4 Pd 2.77, 4 Yb 2.81
Yb  0.0000  0.0000  0.0000  8 Pd 2.81
Pd  0.7500  0.2500  0.5000  4 Pd 2.77, 4 Yb 2.81

Computed properties:
* energy of formation: -0.6800 eV/atom
* uncorrected energy: -1.035 Ha/atom

=====

# 14
# YbPd

YbPd after structural relaxation (meta-GGA r2SCAN, the Materials Project database).

Lattice parameters (Å, degrees): 4.5700 5.4094 6.7426 90.00 90.00 90.00
Closest atoms and distances in Å follow each position.
Fractional coordinates of all 8 atoms:
Yb  0.2500  0.1442  0.1842  7 Pd 2.82-2.95
Pd  0.2500  0.6556  0.0404  7 Yb 2.82-2.95, 2 Pd 2.89
Pd  0.2500  0.8444  0.5404  7 Yb 2.82-2.95, 2 Pd 2.89
Yb  0.7500  0.6442  0.3158  7 Pd 2.82-2.95
Pd  0.7500  0.3444  0.9596  7 Yb 2.82-2.95, 2 Pd 2.89
Yb  0.2500  0.3558  0.6842  7 Pd 2.82-2.95
Yb  0.7500  0.8558  0.8158  7 Pd 2.82-2.95
Pd  0.7500  0.1556  0.4596  7 Yb 2.82-2.95, 2 Pd 2.89

Computed properties:
* energy of formation: -1.0130 eV/atom
* uncorrected energy: -1.130 Ha/atom

=====

# 15
# Zn5Pd3

Zn5Pd3 after structural relaxation (meta-GGA r2SCAN, the Materials Project database).

Lattice parameters (Å, degrees): 3.0483 3.0483 12.0708 90.00 90.00 90.00
Closest atoms and distances in Å follow each position.
Fractional coordinates of all 8 atoms:
Zn  0.0000  0.0000  0.1268  4 Pd 2.62, 4 Zn 2.64
Pd  0.5000  0.5000  0.2499  8 Zn 2.62-2.63
Zn  0.0000  0.0000  0.3748  8 Pd 2.63
Zn  0.0000  0.0000  0.8732  4 Pd 2.62, 4 Zn 2.64
Zn  0.0000  0.0000  0.6252  8 Pd 2.63
Pd  0.5000  0.5000  0.5000  8 Zn 2.63
Pd  0.5000  0.5000  0.7501  8 Zn 2.62-2.63
Zn  0.5000  0.5000  0.0000  8 Zn 2.64

Computed properties:
* energy of formation: -0.4280 eV/atom
* uncorrected energy: -0.537 Ha/atom

=====

# 16
# ZnPd

ZnPd after structural relaxation (meta-GGA r2SCAN, the Materials Project database).

Lattice parameters (Å, degrees): 3.3491 4.0886 4.0886 90.00 90.00 90.00
Closest atoms and distances in Å follow each position.
Fractional coordinates of all 4 atoms:
Zn  0.5000  0.5000  0.0000  8 Pd 2.64, 4 Zn 2.89
Pd  0.0000  0.0000  0.0000  8 Zn 2.64, 4 Pd 2.89
Zn  0.5000  0.0000  0.5000  8 Pd 2.64, 4 Zn 2.89
Pd  0.0000  0.5000  0.5000  8 Zn 2.64, 4 Pd 2.89

Computed properties:
* energy of formation: -0.5837 eV/atom
* uncorrected energy: -0.607 Ha/atom

=====

# 17
# Zn2Pd

Zn2Pd after structural relaxation (meta-GGA r2SCAN, the Materials Project database).

Lattice parameters (Å, degrees): 5.2460 5.2460 12.2475 90.00 90.00 91.14
Closest atoms and distances in Å follow each position.
Fractional coordinates of all 24 atoms:
Zn  0.7180  0.7180  0.3304  6 Pd 2.55-2.68, 4 Zn 2.75-2.81
Zn  0.2765  0.2765  0.6669  5 Pd 2.64, 7 Zn 2.64-2.86
Zn  0.7231  0.2769  0.0055  5 Pd 2.60-2.65, 6 Zn 2.67-2.86
Pd  0.5000  0.5000  0.4981  8 Zn 2.60-2.64, 4 Pd 2.91
Zn  0.5000  0.0000  0.5002  6 Pd 2.62-2.74, 6 Zn 2.62-2.81
Pd  0.7796  0.7796  0.9929  11 Zn 2.57-2.85
Zn  0.0000  0.5000  0.5002  6 Pd 2.62-2.74, 6 Zn 2.62-2.81
Zn  0.7235  0.7235  0.6669  5 Pd 2.64, 7 Zn 2.64-2.86
Pd  0.2133  0.7867  0.3382  10 Zn 2.57-2.80
Zn  0.2820  0.2820  0.3304  6 Pd 2.55-2.68, 4 Zn 2.75-2.81
Pd  0.7755  0.2245  0.6659  10 Zn 2.62-2.76, 1 Pd 2.91
Zn  0.0000  0.0000  0.5024  4 Pd 2.57-2.62, 6 Zn 2.62-2.86
Zn  0.5000  0.5000  0.8359  8 Zn 2.62-2.67, 4 Pd 2.81-2.93
Pd  0.2204  0.2204  0.9929  11 Zn 2.57-2.85
Zn  0.5000  0.0000  0.1669  6 Zn 2.62-2.75, 6 Pd 2.62-2.85
Zn  0.2769  0.7231  0.0055  5 Pd 2.60-2.65, 6 Zn 2.67-2.86
Zn  0.5000  0.0000  0.8331  8 Zn 2.62-2.81, 4 Pd 2.72-2.76
Zn  0.0000  0.0000  0.8294  4 Pd 2.57-2.62, 6 Zn 2.62-2.84
Pd  0.7867  0.2133  0.3382  10 Zn 2.57-2.80
Pd  0.2245  0.7755  0.6659  10 Zn 2.62-2.76, 1 Pd 2.91
Pd  0.5000  0.5000  0.1682  8 Zn 2.55-2.62
Zn  0.0000  0.5000  0.8331  8 Zn 2.62-2.81, 4 Pd 2.72-2.76
Zn  0.0000  0.0000  0.1659  8 Zn 2.62-2.89, 4 Pd 2.65-2.67
Zn  0.0000  0.5000  0.1669  6 Zn 2.62-2.75, 6 Pd 2.62-2.85

Computed properties:
* energy of formation: -0.4354 eV/atom
* uncorrected energy: -0.516 Ha/atom

=====

# 18
# Zr3Pd4

Zr3Pd4 after structural relaxation (meta-GGA r2SCAN, the Materials Project database).

Lattice parameters (Å, degrees): 7.4838 7.4838 7.4838 114.08 114.08 114.08
Closest atoms and distances in Å follow each position.
Fractional coordinates of all 14 atoms:
Pd  0.0768  0.5611  0.2378  6 Zr 2.71-2.95, 3 Pd 2.82-2.90
Zr  0.2662  0.3973  0.0067  8 Pd 2.71-2.95
Pd  0.7622  0.9232  0.4389  6 Zr 2.71-2.95, 3 Pd 2.82-2.90
Pd  0.9232  0.4389  0.7622  6 Zr 2.71-2.95, 3 Pd 2.82-2.90
Zr  0.9933  0.7338  0.6027  8 Pd 2.71-2.95
Zr  0.6027  0.9933  0.7338  8 Pd 2.71-2.95
Zr  0.7338  0.6027  0.9933  8 Pd 2.71-2.95
Pd  0.5611  0.2378  0.0768  6 Zr 2.71-2.95, 3 Pd 2.82-2.90
Pd  0.5000  0.5000  0.5000  2 Pd 2.78, 6 Zr 2.93
Pd  0.2378  0.0768  0.5611  6 Zr 2.71-2.95, 3 Pd 2.82-2.90
Pd  0.0000  0.0000  0.0000  2 Pd 2.78, 6 Zr 2.79
Zr  0.0067  0.2662  0.3973  8 Pd 2.71-2.95
Pd  0.4389  0.7622  0.9232  6 Zr 2.71-2.95, 3 Pd 2.82-2.90
Zr  0.3973  0.0067  0.2662  8 Pd 2.71-2.95

Computed properties:
* energy of formation: -0.7294 eV/atom
* uncorrected energy: -0.867 Ha/atom

=====

# 19
# ZrPd3

ZrPd3 after structural relaxation (meta-GGA r2SCAN, the Materials Project database).

Lattice parameters (Å, degrees): 4.0002 4.0002 4.0002 90.00 90.00 90.00
Closest atoms and distances in Å follow each position.
Fractional coordinates of all 4 atoms:
Zr  0.0000  0.0000  0.0000  12 Pd 2.83
Pd  0.5000  0.5000  0.0000  4 Zr 2.83, 8 Pd 2.83
Pd  0.5000  0.0000  0.5000  4 Zr 2.83, 8 Pd 2.83
Pd  0.0000  0.5000  0.5000  8 Pd 2.83, 4 Zr 2.83

Computed properties:
* energy of formation: -0.8264 eV/atom
* uncorrected energy: -0.872 Ha/atom

=====

# 20
# ZrPd3

ZrPd3 after structural relaxation (meta-GGA r2SCAN, the Materials Project database).

Lattice parameters (Å, degrees): 5.6517 5.6517 9.2780 90.00 90.00 120.00
Closest atoms and distances in Å follow each position.
Fractional coordinates of all 16 atoms:
Zr  0.0000  0.0000  0.0000  12 Pd 2.83-2.85
Zr  0.0000  0.0000  0.5000  12 Pd 2.83-2.85
Pd  0.5000  0.5000  0.5000  8 Pd 2.83, 4 Zr 2.83-2.84
Pd  0.1697  0.3395  0.7500  8 Pd 2.77-2.88, 4 Zr 2.83-2.85
Zr  0.3333  0.6667  0.2500  12 Pd 2.83-2.84
Pd  0.3395  0.1697  0.2500  8 Pd 2.77-2.88, 4 Zr 2.83-2.85
Zr  0.6667  0.3333  0.7500  12 Pd 2.83-2.84
Pd  0.8303  0.1697  0.2500  8 Pd 2.77-2.88, 4 Zr 2.83-2.85
Pd  0.0000  0.5000  0.0000  8 Pd 2.83, 4 Zr 2.83-2.84
Pd  0.1697  0.8303  0.7500  8 Pd 2.77-2.88, 4 Zr 2.83-2.85
Pd  0.5000  0.5000  0.0000  8 Pd 2.83, 4 Zr 2.83-2.84
Pd  0.5000  0.0000  0.5000  4 Zr 2.83-2.84, 8 Pd 2.83
Pd  0.5000  0.0000  0.0000  4 Zr 2.83-2.84, 8 Pd 2.83
Pd  0.8303  0.6605  0.2500  8 Pd 2.77-2.88, 4 Zr 2.83-2.85
Pd  0.0000  0.5000  0.5000  8 Pd 2.83, 4 Zr 2.83-2.84
Pd  0.6605  0.8303  0.7500  8 Pd 2.77-2.88, 4 Zr 2.83-2.85

Computed properties:
* energy of formation: -0.8515 eV/atom
* uncorrected energy: -0.873 Ha/atom